Record 1
Density functional theory data (PBE) for a relaxed Li2ZnGeS4 crystal.

Cell: 7.5256 6.8690 6.3500 Å, 90.00 90.00 90.00°
Closest atoms and distances in Å follow each position.
Space group Pmn2_1 (No. 31)
Unique sites:
Li 0.2500 0.1724 0.0000  4 S 2.39-2.49
Zn 0.0000 0.3519 0.4960  4 S 2.34-2.40
Ge 0.0000 0.6631 0.9942  4 S 2.23-2.26
S 0.0000 0.3591 0.8689  1 Ge 2.23, 1 Zn 2.37, 2 Li 2.42
S 0.0000 0.6644 0.3482  1 Ge 2.25, 1 Zn 2.34, 2 Li 2.39
S 0.2425 0.8269 0.8841  1 Ge 2.26, 1 Zn 2.40, 2 Li 2.44-2.49

Values from the calculation:
Electronic total energy = -4.166 eV per atom
Largest piezoelectric modulus = 0.88 C/m2
Size of the total moment = 0.0 μB per formula unit
Calculated formation energy = -1.14 eV per atom

---

Record 2
Density functional theory data (PBE) for a relaxed LiGeSbTe3 crystal.

Cell: 4.2912 4.2912 10.6992 Å, 90.00 90.00 120.00°
Closest atoms and distances in Å follow each position.
Space group P3m1 (No. 156)
Unique sites:
Li 0.0000 0.0000 0.0000  6 Te 3.01-3.07
Ge 0.3333 0.6667 0.6867  6 Te 2.92-3.14
Sb 0.6667 0.3333 0.3360  6 Te 3.07-3.11
Te 0.0000 0.0000 0.5059  3 Sb 3.07, 3 Ge 3.14
Te 0.3333 0.6667 0.1605  3 Li 3.01, 3 Sb 3.11
Te 0.6667 0.3333 0.8305  3 Ge 2.92, 3 Li 3.07

Values from the calculation:
Electronic total energy = -3.663 eV per atom
Size of the total moment = 0.0 μB per formula unit
Calculated formation energy = -0.53 eV per atom

---

Record 3
Density functional theory data (PBE) for a relaxed Li2GeSb2Te5 crystal.

Cell: 4.3353 4.3353 53.9005 Å, 90.00 90.00 120.00°
Closest atoms and distances in Å follow each position.
Space group R3m (No. 160, hexagonal axes)
Unique sites:
Li 0.0000 0.0000 0.0000  3 Te 2.71
Li 0.0000 0.0000 0.3749  3 Te 2.78
Ge 0.0000 0.0000 0.7810  6 Te 2.88-3.22
Sb 0.0000 0.0000 0.1841  6 Te 3.04-3.17
Sb 0.0000 0.0000 0.5910  6 Te 3.04-3.21
Te 0.0000 0.0000 0.0879  3 Ge 2.88
Te 0.0000 0.0000 0.2897  3 Sb 3.04
Te 0.0000 0.0000 0.4853  3 Sb 3.04, 3 Ge 3.22
Te 0.0000 0.0000 0.6858  6 Li 2.71-2.78
Te 0.0000 0.0000 0.8870  6 Sb 3.17-3.21

Values from the calculation:
Electronic total energy = -3.573 eV per atom
Size of the total moment = 0.0 μB per formula unit
Calculated formation energy = -0.54 eV per atom

---

Record 4
Density functional theory data (PBE) for a relaxed LiSmGe2 crystal.

Cell: 7.8117 3.9585 10.5548 Å, 90.00 90.00 90.00°
Closest atoms and distances in Å follow each position.
Space group Pnma (No. 62)
Unique sites:
Li 0.0125 0.2500 0.1076  5 Ge 2.54-2.74
Sm 0.1392 0.7500 0.3639  9 Ge 3.06-3.40
Ge 0.1528 0.7500 0.6857  2 Ge 2.53, 2 Li 2.54-2.74
Ge 0.2267 0.7500 0.0654  2 Ge 2.53, 3 Li 2.61-2.63

Values from the calculation:
Electronic total energy = -4.623 eV per atom
Calculated formation energy = -0.66 eV per atom

---

Record 5
Density functional theory data (PBE) for a relaxed Li2Sm2Ge3 crystal.

Cell: 4.3962 18.5966 6.9242 Å, 90.00 90.00 90.00°
Closest atoms and distances in Å follow each position.
Space group Cmcm (No. 63)
Unique sites:
Li 0.0000 0.1912 0.0631  4 Ge 2.56-2.72, 1 Li 2.59
Sm 0.0000 0.3431 0.2500  6 Ge 3.09-3.17, 6 Li 3.11-3.15
Sm 0.0000 0.4479 0.7500  9 Ge 3.11-3.31
Ge 0.0000 0.0623 0.5671  2 Ge 2.50-2.53, 1 Li 2.56
Ge 0.0000 0.2796 0.7500  6 Li 2.61-2.72

Values from the calculation:
Electronic total energy = -4.575 eV per atom
Calculated formation energy = -0.70 eV per atom

---

Record 6
Density functional theory data (PBE) for a relaxed Sr2LiGe3 crystal.

Cell: 8.7405 15.1737 18.4168 Å, 90.00 90.00 90.00°
Closest atoms and distances in Å follow each position.
Space group Fddd (No. 70, origin choice 2)
Unique sites:
Sr 0.1250 0.1250 0.0011  8 Ge 3.37-3.45, 4 Li 3.41-3.43
Sr 0.1250 0.1250 0.5028  10 Ge 3.34-3.49, 2 Li 3.45
Li 0.1250 0.2919 0.1250  3 Ge 2.52-2.54
Ge 0.1235 0.2918 0.8779  2 Ge 2.52-2.53, 1 Li 2.54
Ge 0.1250 0.2917 0.6250  2 Ge 2.52, 1 Li 2.52

Values from the calculation:
Electronic total energy = -3.749 eV per atom
Size of the total moment = 0.0 μB per formula unit
Calculated formation energy = -0.56 eV per atom

---

Record 7
Density functional theory data (PBE) for a relaxed Sr2LiGe3 crystal.

Cell: 8.7781 9.2423 15.0969 Å, 90.00 90.00 90.00°
Closest atoms and distances in Å follow each position.
Space group Fmmm (No. 69)
Unique sites:
Sr 0.0000 0.2433 0.0000  10 Ge 3.37-3.46, 2 Li 3.46
Sr 0.2500 0.2500 0.2500  8 Ge 3.42-3.43, 4 Li 3.43
Li 0.0000 0.0000 0.3336  3 Ge 2.53
Ge 0.0000 0.0000 0.1662  1 Li 2.53, 2 Ge 2.53
Ge 0.2494 0.0000 0.4170  2 Ge 2.51-2.53, 1 Li 2.53

Values from the calculation:
Electronic total energy = -3.748 eV per atom
Calculated formation energy = -0.56 eV per atom

---

Record 8
Density functional theory data (PBE) for a relaxed Sr2LiGe3 crystal.

Cell: 11.1824 11.9132 4.6361 Å, 90.00 90.00 90.00°
Closest atoms and distances in Å follow each position.
Space group Pnnm (No. 58)
Unique sites:
Sr 0.0498 0.1510 0.0000  7 Ge 3.10-3.34
Sr 0.1786 0.4271 0.5000  9 Ge 3.32-3.54, 1 Li 3.46
Li 0.1392 0.7152 0.5000  5 Ge 2.81-2.94
Ge 0.0323 0.6005 0.0000  2 Ge 2.50-2.52
Ge 0.1101 0.9577 0.5000  2 Ge 2.62-2.66, 1 Li 2.91
Ge 0.2458 0.1368 0.5000  2 Ge 2.52-2.62, 2 Li 2.81

Values from the calculation:
Electronic total energy = -3.751 eV per atom
Size of the total moment = 0.0 μB per formula unit
Calculated formation energy = -0.56 eV per atom

---

Record 9
Density functional theory data (PBE) for a relaxed LiTm2Ge4 crystal.

Cell: 4.0489 3.9865 8.6452 Å, 90.00 103.38 90.00°
Closest atoms and distances in Å follow each position.
Space group Pm (No. 6)
Unique sites:
Li 0.0000 0.0000 0.0000  5 Ge 2.35-2.48
Tm 0.2021 0.0000 0.4301  10 Ge 2.96-3.18
Tm 0.4132 0.5000 0.8527  10 Ge 3.04-3.39, 4 Li 3.06-3.14
Ge 0.0571 0.5000 0.1617  2 Li 2.41
Ge 0.5812 0.0000 0.1685  2 Li 2.46-2.48
Ge 0.7495 0.5000 0.5320  2 Ge 2.55
Ge 0.8436 0.0000 0.7205  1 Li 2.35, 2 Ge 2.55

Values from the calculation:
Electronic total energy = -4.752 eV per atom
Size of the total moment = 0.0 μB per formula unit
Calculated formation energy = -0.56 eV per atom

---

Record 10
Density functional theory data (PBE) for a relaxed LiTmGe crystal.

Cell: 6.9877 6.9877 4.2195 Å, 90.00 90.00 120.00°
Closest atoms and distances in Å follow each position.
Space group P-62m (No. 189)
Unique sites:
Li 0.0000 0.2371 0.0000  4 Ge 2.68-2.73, 2 Li 2.87
Tm 0.0000 0.5793 0.5000  5 Ge 2.94-2.97, 2 Li 3.19
Ge 0.0000 0.0000 0.5000  6 Li 2.68, 3 Tm 2.94
Ge 0.3333 0.6667 0.0000  3 Li 2.73, 6 Tm 2.97

Values from the calculation:
Electronic total energy = -4.374 eV per atom
Calculated formation energy = -0.70 eV per atom

---

Record 11
Density functional theory data (PBE) for a relaxed Li2ZnGe3 crystal.

Cell: 4.2219 4.2219 6.8135 Å, 90.00 90.00 120.00°
Closest atoms and distances in Å follow each position.
Space group P3m1 (No. 156)
Unique sites:
Li 0.0000 0.0000 0.0000  6 Ge 2.72-2.82, 1 Li 2.98, 3 Zn 3.01
Li 0.0000 0.0000 0.4376  3 Zn 2.72, 6 Ge 2.84-3.02, 1 Li 2.98
Zn 0.6667 0.3333 0.2593  4 Ge 2.50-2.67, 3 Li 2.72
Ge 0.3333 0.6667 0.1770  3 Zn 2.50, 1 Ge 2.63, 3 Li 2.72
Ge 0.3333 0.6667 0.7913  4 Ge 2.62-2.63, 3 Li 2.82
Ge 0.6667 0.3333 0.6517  3 Ge 2.62, 1 Zn 2.67, 3 Li 2.84

Values from the calculation:
Electronic total energy = -3.362 eV per atom
Size of the total moment = 0.0 μB per formula unit
Calculated formation energy = -0.20 eV per atom

---

Record 12
Density functional theory data (PBE) for a relaxed Li8Zn2Ge3 crystal.

Cell: 7.5651 7.5651 24.3268 Å, 90.00 90.00 120.00°
Closest atoms and distances in Å follow each position.
Space group R3c (No. 161, hexagonal axes)
Unique sites:
Li 0.0000 0.0000 0.0000  4 Li 2.49-2.66, 1 Zn 2.78
Li 0.0000 0.0000 0.1022  4 Li 2.49-2.67, 3 Ge 2.69
Li 0.0187 0.3352 0.3364  5 Li 2.64-2.95, 2 Zn 2.74-2.79, 4 Ge 2.75-2.88
Li 0.0217 0.3404 0.4448  5 Li 2.64-2.84, 4 Ge 2.73-2.91, 2 Zn 2.74-2.88
Zn 0.0000 0.0000 0.2246  3 Ge 2.56, 6 Li 2.74-2.79
Zn 0.0000 0.0000 0.3857  3 Ge 2.55, 4 Li 2.74-2.78
Ge 0.0014 0.3250 0.5570  2 Zn 2.55-2.56, 6 Li 2.69-2.82

Values from the calculation:
Electronic total energy = -2.786 eV per atom
Size of the total moment = 0.0 μB per formula unit
Calculated formation energy = -0.35 eV per atom